# 1
Entry from the Materials Project database: crystalline Ca3As2O19 at its relaxed geometry (PBE-GGA).

Space-group type ... P-1
E_tot ... -261.196 eV/cell
Crystal system ... triclinic

Cell lengths 11.890, 11.664, 6.091 Å; angles 94.92, 85.93, 109.42 degrees
Fractional positions:
Ca (0.825, 0.440, 0.677)
Ca (0.175, 0.560, 0.323)
Ca (0.883, 0.678, 0.191)
Ca (0.117, 0.322, 0.809)
Ca (0.849, 0.096, 0.485)
Ca (0.151, 0.904, 0.515)
As (0.731, 0.842, 0.743)
As (0.269, 0.158, 0.257)
As (0.910, 0.372, 0.202)
As (0.090, 0.628, 0.798)
O (0.812, 0.866, 0.040)
O (0.188, 0.134, 0.960)
O (0.872, 0.893, 0.566)
O (0.128, 0.107, 0.434)
O (0.659, 0.695, 0.748)
O (0.341, 0.305, 0.252)
O (0.579, 0.930, 0.111)
O (0.421, 0.070, 0.889)
O (0.056, 0.376, 0.157)
O (0.944, 0.624, 0.843)
O (0.922, 0.516, 0.326)
O (0.078, 0.484, 0.674)
O (0.837, 0.280, 0.411)
O (0.163, 0.720, 0.589)
O (0.835, 0.337, 0.965)
O (0.165, 0.663, 0.035)
O (0.568, 0.288, 0.632)
O (0.432, 0.712, 0.368)
O (0.685, 0.525, 0.388)
O (0.315, 0.475, 0.612)
O (0.699, 0.520, 0.022)
O (0.301, 0.480, 0.978)
O (0.941, 0.814, 0.527)
O (0.059, 0.186, 0.473)
O (0.062, 0.835, 0.193)
O (0.938, 0.165, 0.807)
O (0.868, 0.978, 0.116)
O (0.132, 0.022, 0.884)
O (0.687, 0.956, 0.672)
O (0.313, 0.044, 0.328)
O (0.640, 0.041, 0.173)
O (0.360, 0.959, 0.827)
O (0.584, 0.118, 0.212)
O (0.416, 0.882, 0.788)
O (0.529, 0.700, 0.320)
O (0.471, 0.300, 0.680)
O (0.643, 0.464, 0.201)
O (0.357, 0.536, 0.799)

***

# 2
Entry from the Materials Project database: crystalline CaAs2O8 at its relaxed geometry (PBE-GGA).

Space-group type ... P-1
MP2020-corrected energy ... -5.81 eV/atom
Crystal system ... triclinic

Cell lengths 6.452, 7.229, 8.598 Å; angles 62.83, 62.81, 83.06 degrees
Fractional positions:
Ca (0.769, 0.166, 0.916)
Ca (0.231, 0.834, 0.084)
As (0.395, 0.251, 0.576)
As (0.605, 0.749, 0.424)
As (0.828, 0.732, 0.795)
As (0.172, 0.268, 0.205)
O (0.182, 0.090, 0.802)
O (0.818, 0.910, 0.198)
O (0.245, 0.492, 0.544)
O (0.755, 0.508, 0.456)
O (0.518, 0.223, 0.374)
O (0.482, 0.777, 0.626)
O (0.601, 0.328, 0.639)
O (0.399, 0.672, 0.361)
O (0.983, 0.598, 0.985)
O (0.017, 0.402, 0.015)
O (0.648, 0.876, 0.902)
O (0.352, 0.124, 0.098)
O (0.730, 0.507, 0.832)
O (0.270, 0.493, 0.168)
O (0.075, 0.874, 0.587)
O (0.925, 0.126, 0.413)

***

# 3
Entry from the Materials Project database: crystalline Ca2As2O7 at its relaxed geometry (PBE-GGA).

Space-group type ... C2/m
MP2020-corrected energy ... -6.87 eV/atom
Crystal system ... monoclinic

Cell lengths 5.928, 5.928, 4.989 Å; angles 82.96, 82.96, 105.68 degrees
Fractional positions:
Ca (0.693, 0.307, 0.500)
Ca (0.307, 0.693, 0.500)
As (0.774, 0.774, 0.908)
As (0.226, 0.226, 0.092)
O (0.916, 0.616, 0.722)
O (0.384, 0.084, 0.278)
O (0.084, 0.384, 0.278)
O (0.616, 0.916, 0.722)
O (0.000, 0.000, 0.000)
O (0.617, 0.617, 0.214)
O (0.383, 0.383, 0.786)

***

# 4
Entry from the Materials Project database: crystalline CaAsO4 at its relaxed geometry (PBE-GGA).

Space-group type ... P-1
MP2020-corrected energy ... -6.57 eV/atom
Crystal system ... triclinic

Cell lengths 7.015, 7.030, 7.278 Å; angles 76.13, 81.36, 85.56 degrees
Fractional positions:
Ca (0.568, 0.684, 0.268)
Ca (0.432, 0.316, 0.732)
Ca (0.156, 0.812, 0.653)
Ca (0.844, 0.188, 0.347)
As (0.622, 0.797, 0.711)
As (0.378, 0.203, 0.289)
As (0.065, 0.710, 0.192)
As (0.935, 0.290, 0.808)
O (0.665, 0.687, 0.942)
O (0.335, 0.313, 0.058)
O (0.502, 0.649, 0.614)
O (0.498, 0.351, 0.386)
O (0.834, 0.871, 0.572)
O (0.166, 0.129, 0.428)
O (0.457, 0.986, 0.730)
O (0.543, 0.014, 0.270)
O (0.198, 0.667, 0.985)
O (0.802, 0.333, 0.015)
O (0.891, 0.542, 0.286)
O (0.109, 0.458, 0.714)
O (0.934, 0.935, 0.144)
O (0.066, 0.065, 0.856)
O (0.224, 0.716, 0.346)
O (0.776, 0.284, 0.654)

***

# 5
Entry from the Materials Project database: crystalline Ca5As3O14 at its relaxed geometry (PBE-GGA).

Space-group type ... P6_3/m
MP2020-corrected energy ... -6.51 eV/atom
Crystal system ... hexagonal

Cell lengths 9.937, 9.937, 7.014 Å; angles 90.00, 90.00, 120.00 degrees
Fractional positions:
Ca (0.667, 0.333, 0.998)
Ca (0.333, 0.667, 0.002)
Ca (0.333, 0.667, 0.498)
Ca (0.667, 0.333, 0.502)
Ca (0.751, 0.993, 0.750)
Ca (0.249, 0.007, 0.250)
Ca (0.242, 0.249, 0.750)
Ca (0.758, 0.751, 0.250)
Ca (0.007, 0.758, 0.750)
Ca (0.993, 0.242, 0.250)
As (0.601, 0.628, 0.750)
As (0.399, 0.372, 0.250)
As (0.027, 0.399, 0.750)
As (0.973, 0.601, 0.250)
As (0.372, 0.973, 0.750)
As (0.628, 0.027, 0.250)
O (0.658, 0.750, 0.944)
O (0.342, 0.250, 0.056)
O (0.092, 0.342, 0.944)
O (0.342, 0.250, 0.444)
O (0.908, 0.658, 0.056)
O (0.658, 0.750, 0.556)
O (0.250, 0.908, 0.944)
O (0.908, 0.658, 0.444)
O (0.750, 0.092, 0.056)
O (0.092, 0.342, 0.556)
O (0.750, 0.092, 0.444)
O (0.250, 0.908, 0.556)
O (0.399, 0.529, 0.750)
O (0.601, 0.471, 0.250)
O (0.129, 0.601, 0.750)
O (0.871, 0.399, 0.250)
O (0.471, 0.871, 0.750)
O (0.529, 0.129, 0.250)
O (0.000, 0.000, 0.905)
O (0.000, 0.000, 0.095)
O (0.000, 0.000, 0.405)
O (0.000, 0.000, 0.595)
O (0.829, 0.323, 0.750)
O (0.171, 0.677, 0.250)
O (0.494, 0.171, 0.750)
O (0.506, 0.829, 0.250)
O (0.677, 0.506, 0.750)
O (0.323, 0.494, 0.250)

***

# 6
Entry from the Materials Project database: crystalline Ca6As4PO35 at its relaxed geometry (PBE-GGA).

Space-group type ... R3c
E_tot ... -506.037 eV/cell
Crystal system ... trigonal

Cell lengths 11.229, 11.229, 11.229 Å; angles 81.28, 81.28, 81.28 degrees
Fractional positions:
Ca (0.136, 0.394, 0.968)
Ca (0.394, 0.968, 0.136)
Ca (0.968, 0.136, 0.394)
Ca (0.468, 0.894, 0.636)
Ca (0.894, 0.636, 0.468)
Ca (0.636, 0.468, 0.894)
Ca (0.392, 0.475, 0.163)
Ca (0.475, 0.163, 0.392)
Ca (0.163, 0.392, 0.475)
Ca (0.663, 0.975, 0.892)
Ca (0.975, 0.892, 0.663)
Ca (0.892, 0.663, 0.975)
As (0.597, 0.206, 0.075)
As (0.206, 0.075, 0.597)
As (0.075, 0.597, 0.206)
As (0.575, 0.706, 0.097)
As (0.706, 0.097, 0.575)
As (0.097, 0.575, 0.706)
As (0.471, 0.471, 0.471)
As (0.971, 0.971, 0.971)
P (0.252, 0.252, 0.252)
P (0.752, 0.752, 0.752)
O (0.513, 0.344, 0.032)
O (0.344, 0.032, 0.513)
O (0.032, 0.513, 0.344)
O (0.532, 0.844, 0.013)
O (0.844, 0.013, 0.532)
O (0.013, 0.532, 0.844)
O (0.542, 0.087, 0.033)
O (0.087, 0.033, 0.542)
O (0.033, 0.542, 0.087)
O (0.533, 0.587, 0.042)
O (0.587, 0.042, 0.533)
O (0.042, 0.533, 0.587)
O (0.729, 0.238, 0.975)
O (0.238, 0.975, 0.729)
O (0.975, 0.729, 0.238)
O (0.475, 0.738, 0.229)
O (0.738, 0.229, 0.475)
O (0.229, 0.475, 0.738)
O (0.613, 0.189, 0.224)
O (0.189, 0.224, 0.613)
O (0.224, 0.613, 0.189)
O (0.724, 0.689, 0.113)
O (0.689, 0.113, 0.724)
O (0.113, 0.724, 0.689)
O (0.551, 0.551, 0.551)
O (0.051, 0.051, 0.051)
O (0.493, 0.524, 0.318)
O (0.524, 0.318, 0.493)
O (0.318, 0.493, 0.524)
O (0.818, 0.024, 0.993)
O (0.024, 0.993, 0.818)
O (0.993, 0.818, 0.024)
O (0.324, 0.324, 0.324)
O (0.824, 0.824, 0.824)
O (0.243, 0.329, 0.126)
O (0.329, 0.126, 0.243)
O (0.126, 0.243, 0.329)
O (0.626, 0.829, 0.743)
O (0.829, 0.743, 0.626)
O (0.743, 0.626, 0.829)
O (0.367, 0.247, 0.868)
O (0.247, 0.868, 0.367)
O (0.868, 0.367, 0.247)
O (0.368, 0.747, 0.867)
O (0.747, 0.867, 0.368)
O (0.867, 0.368, 0.747)
O (0.121, 0.215, 0.874)
O (0.215, 0.874, 0.121)
O (0.874, 0.121, 0.215)
O (0.374, 0.715, 0.621)
O (0.715, 0.621, 0.374)
O (0.621, 0.374, 0.715)
O (0.278, 0.587, 0.942)
O (0.587, 0.942, 0.278)
O (0.942, 0.278, 0.587)
O (0.442, 0.087, 0.778)
O (0.087, 0.778, 0.442)
O (0.778, 0.442, 0.087)
O (0.956, 0.232, 0.091)
O (0.232, 0.091, 0.956)
O (0.091, 0.956, 0.232)
O (0.591, 0.732, 0.456)
O (0.732, 0.456, 0.591)
O (0.456, 0.591, 0.732)
O (0.896, 0.268, 0.701)
O (0.268, 0.701, 0.896)
O (0.701, 0.896, 0.268)
O (0.201, 0.768, 0.396)
O (0.768, 0.396, 0.201)
O (0.396, 0.201, 0.768)

***

# 7
Entry from the Materials Project database: crystalline CaSbAsO5 at its relaxed geometry (PBE-GGA).

Space-group type ... P2_12_12_1
MP2020-corrected energy ... -6.64 eV/atom
Crystal system ... orthorhombic

Cell lengths 7.359, 7.857, 8.598 Å; angles 90.00, 90.00, 90.00 degrees
Fractional positions:
Ca (0.009, 0.642, 0.606)
Ca (0.491, 0.358, 0.106)
Ca (0.991, 0.142, 0.894)
Ca (0.509, 0.858, 0.394)
Sb (0.211, 0.742, 0.955)
Sb (0.289, 0.258, 0.455)
Sb (0.789, 0.242, 0.545)
Sb (0.711, 0.758, 0.045)
As (0.458, 0.083, 0.798)
As (0.042, 0.917, 0.298)
As (0.542, 0.583, 0.702)
As (0.958, 0.417, 0.202)
O (0.437, 0.894, 0.905)
O (0.063, 0.106, 0.405)
O (0.563, 0.394, 0.595)
O (0.937, 0.606, 0.095)
O (0.329, 0.229, 0.895)
O (0.171, 0.771, 0.395)
O (0.671, 0.729, 0.605)
O (0.829, 0.271, 0.105)
O (0.686, 0.124, 0.794)
O (0.814, 0.876, 0.294)
O (0.314, 0.624, 0.706)
O (0.186, 0.376, 0.206)
O (0.375, 0.049, 0.611)
O (0.125, 0.951, 0.111)
O (0.625, 0.549, 0.889)
O (0.875, 0.451, 0.389)
O (0.038, 0.846, 0.814)
O (0.462, 0.154, 0.314)
O (0.962, 0.346, 0.686)
O (0.538, 0.654, 0.186)

***

# 8
Entry from the Materials Project database: crystalline CaSnAs2O7 at its relaxed geometry (PBE-GGA).

Space-group type ... P2_1/c
MP2020-corrected energy ... -6.63 eV/atom
Crystal system ... monoclinic

Cell lengths 9.473, 7.911, 9.973 Å; angles 64.05, 90.00, 90.00 degrees
Fractional positions:
Ca (0.054, 0.736, 0.923)
Ca (0.554, 0.264, 0.577)
Ca (0.946, 0.264, 0.077)
Ca (0.446, 0.736, 0.423)
Sn (0.952, 0.239, 0.644)
Sn (0.452, 0.761, 0.856)
Sn (0.048, 0.761, 0.356)
Sn (0.548, 0.239, 0.144)
As (0.756, 0.585, 0.725)
As (0.256, 0.415, 0.775)
As (0.244, 0.415, 0.275)
As (0.744, 0.585, 0.225)
As (0.724, 0.996, 0.941)
As (0.224, 0.004, 0.559)
As (0.276, 0.004, 0.059)
As (0.776, 0.996, 0.441)
O (0.741, 0.125, 0.038)
O (0.241, 0.875, 0.462)
O (0.259, 0.875, 0.962)
O (0.759, 0.125, 0.538)
O (0.587, 0.669, 0.706)
O (0.087, 0.331, 0.794)
O (0.413, 0.331, 0.294)
O (0.913, 0.669, 0.206)
O (0.859, 0.564, 0.872)
O (0.359, 0.436, 0.628)
O (0.141, 0.436, 0.128)
O (0.641, 0.564, 0.372)
O (0.838, 0.765, 0.562)
O (0.338, 0.235, 0.938)
O (0.162, 0.235, 0.438)
O (0.662, 0.765, 0.062)
O (0.913, 0.045, 0.320)
O (0.413, 0.955, 0.180)
O (0.087, 0.955, 0.680)
O (0.587, 0.045, 0.820)
O (0.744, 0.386, 0.196)
O (0.244, 0.614, 0.304)
O (0.256, 0.614, 0.804)
O (0.756, 0.386, 0.696)
O (0.615, 0.990, 0.362)
O (0.115, 0.010, 0.138)
O (0.385, 0.010, 0.638)
O (0.885, 0.990, 0.862)